Compound: KNb3VCl11
Source: Materials Project
Functional: GGA-PBE
Structure: relaxed

Results
**Total energy after the MP2020 corrections**: -5.52 eV/atom
**Crystal system**: orthorhombic
**Energy of formation from the pure elements**: -1723 meV per atom

a = 13.187 Å, b = 6.882 Å, c = 17.248 Å
α = 90.00°, β = 90.00°, γ = 90.00°
Space group Pnma (No. 62)
Asymmetric unit:
K (0.006, 0.250, 0.238) [4 per cell]
Nb (0.189, 0.750, 0.352) [4 per cell]
Nb (0.248, 0.544, 0.488) [8 per cell]
V (0.179, 0.750, 0.165) [4 per cell]
Cl (0.035, 0.750, 0.254) [4 per cell]
Cl (0.086, 0.503, 0.418) [8 per cell]
Cl (0.105, 0.003, 0.082) [8 per cell]
Cl (0.139, 0.250, 0.910) [4 per cell]
Cl (0.157, 0.750, 0.581) [4 per cell]
Cl (0.174, 0.750, 0.916) [4 per cell]
Cl (0.175, 0.250, 0.572) [4 per cell]
Cl (0.245, 0.009, 0.753) [8 per cell]